--- a ---
{
  "formula": "Eu2NbBiO6",
  "functional": "PBE",
  "state": "relaxed",
  "cell": [[8.5234, 0.0000, 0.0000], [0.0000, 8.5234, 0.0000], [0.0000, 0.0000, 8.5234]],
  "species": ["O", "O", "O", "O", "O", "O", "O", "O", "O", "O", "O", "O", "O", "O", "O", "O", "O", "O", "O", "O", "O", "O", "O", "O", "Bi", "Bi", "Bi", "Bi", "Eu", "Eu", "Eu", "Eu", "Eu", "Eu", "Eu", "Eu", "Nb", "Nb", "Nb", "Nb"],
  "fractional_positions": [[0.2985, 0.5195, 0.7901], [0.7015, 0.4805, 0.7901], [0.9805, 0.2901, 0.7985], [0.7901, 0.2985, 0.5195], [0.2985, 0.4805, 0.2099], [0.7099, 0.7985, 0.0195], [0.5195, 0.7901, 0.2985], [0.7901, 0.7015, 0.4805], [0.5195, 0.2099, 0.7015], [0.4805, 0.2099, 0.2985], [0.9805, 0.7099, 0.2015], [0.2015, 0.0195, 0.2901], [0.7985, 0.9805, 0.2901], [0.7985, 0.0195, 0.7099], [0.4805, 0.7901, 0.7015], [0.2099, 0.2985, 0.4805], [0.0195, 0.7099, 0.7985], [0.2099, 0.7015, 0.5195], [0.2015, 0.9805, 0.7099], [0.0195, 0.2901, 0.2015], [0.7015, 0.5195, 0.2099], [0.2901, 0.2015, 0.0195], [0.7099, 0.2015, 0.9805], [0.2901, 0.7985, 0.9805], [0.7500, 0.2500, 0.2500], [0.2500, 0.2500, 0.7500], [0.7500, 0.7500, 0.7500], [0.2500, 0.7500, 0.2500], [0.0000, 0.5000, 0.5000], [0.5000, 0.0000, 0.0000], [0.0000, 0.0000, 0.0000], [0.5000, 0.5000, 0.5000], [0.0000, 0.5000, 0.0000], [0.0000, 0.0000, 0.5000], [0.5000, 0.5000, 0.0000], [0.5000, 0.0000, 0.5000], [0.7500, 0.7500, 0.2500], [0.2500, 0.2500, 0.2500], [0.7500, 0.2500, 0.7500], [0.2500, 0.7500, 0.7500]],
  "mass_density_g_cm3": 7.5,
  "magmom_total_mub_per_fu": 14.005
}

=====

--- b ---
{
  "formula": "Eu2NbBiO6",
  "functional": "PBE",
  "state": "relaxed",
  "cell": [[0.0000, -4.3019, -4.3019], [4.3019, 0.0000, -4.3019], [4.3019, -4.3019, 0.0000]],
  "species": ["O", "O", "O", "O", "O", "O", "Eu", "Eu", "Nb", "Bi"],
  "fractional_positions": [[0.2669, 0.2669, 0.7331], [0.7331, 0.7331, 0.2669], [0.2669, 0.7331, 0.2669], [0.7331, 0.2669, 0.7331], [0.7331, 0.2669, 0.2669], [0.2669, 0.7331, 0.7331], [0.2500, 0.2500, 0.2500], [0.7500, 0.7500, 0.7500], [0.5000, 0.5000, 0.5000], [0.0000, 0.0000, 0.0000]],
  "mass_density_g_cm3": 7.3,
  "magmom_total_mub_per_fu": 14.000
}

=====

Structures ranked by computed energy, the most stable listed first: a, b.

=====

--- a ---
{
  "formula": "BiF5",
  "functional": "PBE",
  "state": "relaxed",
  "cell": [[10.2819, 0.0000, 0.0000], [0.0000, 5.6408, 0.0000], [0.0000, 3.0560, 7.7382]],
  "species": ["F", "F", "F", "F", "F", "F", "F", "F", "F", "F", "F", "F", "F", "F", "F", "F", "F", "F", "F", "F", "Bi", "Bi", "Bi", "Bi"],
  "fractional_positions": [[0.6036, 0.8719, 0.2077], [0.3964, 0.1281, 0.7923], [0.8142, 0.1166, 0.3465], [0.3749, 0.5908, 0.9327], [0.1306, 0.1746, 0.8721], [0.3142, 0.8834, 0.1535], [0.3694, 0.1746, 0.3721], [0.6858, 0.1166, 0.8465], [0.6101, 0.3675, 0.4831], [0.3899, 0.6325, 0.5169], [0.8749, 0.4092, 0.5673], [0.1251, 0.5908, 0.4327], [0.6306, 0.8254, 0.6279], [0.8899, 0.3675, 0.9831], [0.8964, 0.8719, 0.7077], [0.1858, 0.8834, 0.6535], [0.6251, 0.4092, 0.0673], [0.1101, 0.6325, 0.0169], [0.8694, 0.8254, 0.1279], [0.1036, 0.1281, 0.2923], [0.2519, 0.8814, 0.9032], [0.7519, 0.1186, 0.5968], [0.2481, 0.8814, 0.4032], [0.7481, 0.1186, 0.0968]],
  "mass_density_g_cm3": 4.5
}

=====

--- b ---
{
  "formula": "BiF5",
  "functional": "PBE",
  "state": "relaxed",
  "cell": [[-3.7872, -2.0872, -4.3059], [2.6144, -1.4008, 5.3331], [-6.9223, 3.6059, 4.3406]],
  "species": ["F", "F", "F", "F", "F", "F", "F", "F", "F", "F", "Bi", "Bi"],
  "fractional_positions": [[0.6671, 0.3329, 0.9358], [0.3329, 0.6671, 0.0642], [0.0732, 0.9268, 0.0920], [0.3329, 0.6671, 0.4358], [0.5081, 0.4919, 0.2500], [0.0732, 0.9268, 0.4080], [0.9268, 0.0732, 0.5920], [0.6671, 0.3329, 0.5642], [0.4919, 0.5081, 0.7500], [0.9268, 0.0732, 0.9080], [0.5000, 0.5000, 0.0000], [0.5000, 0.5000, 0.5000]],
  "mass_density_g_cm3": 5.1,
  "magmom_total_mub_per_fu": 0.000
}

=====

Structures ranked by computed energy, the most stable listed first: a, b.

=====

--- a ---
{
  "formula": "BiF5",
  "functional": "PBE",
  "state": "relaxed",
  "cell": [[4.8178, -2.1361, 0.9398], [-1.8440, 5.0072, 0.4308], [-2.7788, -2.3101, 3.9496]],
  "species": ["F", "F", "F", "F", "F", "Bi"],
  "fractional_positions": [[0.7246, 0.0936, 0.8182], [0.2754, 0.9064, 0.1818], [0.0936, 0.2754, 0.3690], [0.9064, 0.7246, 0.6310], [0.5000, 0.5000, 0.0000], [0.0000, 0.0000, 0.0000]],
  "mass_density_g_cm3": 4.8
}

=====

--- b ---
{
  "formula": "BiF5",
  "functional": "PBE",
  "state": "relaxed",
  "cell": [[2.7392, -4.0812, -2.6519], [-0.3837, -4.9482, 2.5613], [-3.3431, 3.9710, -2.0609]],
  "species": ["F", "F", "F", "F", "F", "Bi"],
  "fractional_positions": [[0.2394, 0.5000, 0.7394], [0.5000, 0.0000, 0.5000], [0.2161, 0.2161, 0.0000], [0.7839, 0.7839, 0.0000], [0.7606, 0.5000, 0.2606], [0.0000, 0.0000, 0.0000]],
  "mass_density_g_cm3": 5.9,
  "magmom_total_mub_per_fu": 0.002
}

=====

Structures ranked by computed energy, the most stable listed first: a, b.

=====

--- a ---
{
  "formula": "BiF5",
  "functional": "PBE",
  "state": "relaxed",
  "cell": [[5.3411, -0.0590, -1.8747], [-2.3292, 5.1165, -0.7787], [0.1821, 0.0586, 8.2311]],
  "species": ["F", "F", "F", "F", "F", "F", "F", "F", "F", "F", "Bi", "Bi"],
  "fractional_positions": [[0.8677, 0.2854, 0.5491], [0.3438, 0.0937, 0.2480], [0.1333, 0.7139, 0.4472], [0.7567, 0.6892, 0.0525], [0.1226, 0.7698, 0.8728], [0.4019, 0.2637, 0.6206], [0.6008, 0.7397, 0.3765], [0.6483, 0.9069, 0.7500], [0.2358, 0.3112, 0.9485], [0.8623, 0.2278, 0.1228], [0.9950, 0.9997, 0.9994], [0.5000, 0.0006, 0.4985]],
  "mass_density_g_cm3": 4.5,
  "magmom_total_mub_per_fu": 0.000
}

=====

--- b ---
{
  "formula": "BiF5",
  "functional": "PBE",
  "state": "relaxed",
  "cell": [[-4.3915, -1.2540, -3.3447], [1.1970, -4.3564, 3.4349], [-3.6474, 5.8375, 4.4841]],
  "species": ["F", "F", "F", "F", "F", "F", "F", "F", "F", "F", "Bi", "Bi"],
  "fractional_positions": [[0.2433, 0.3108, 0.0525], [0.6562, 0.9063, 0.2480], [0.1333, 0.7139, 0.5528], [0.8667, 0.2861, 0.4472], [0.7567, 0.6892, 0.9475], [0.3438, 0.0937, 0.7520], [0.1377, 0.7722, 0.1228], [0.3992, 0.2603, 0.3765], [0.6008, 0.7397, 0.6235], [0.8623, 0.2278, 0.8772], [0.0000, 0.0000, 0.0000], [0.5000, 0.0000, 0.5000]],
  "mass_density_g_cm3": 4.5,
  "magmom_total_mub_per_fu": 0.002
}

=====

Structures ranked by computed energy, the most stable listed first: a, b.